Material: CaLa2Ti2Mn2O12
Method: DFT, GGA+U
State: optimized geometry

## Properties
Total DFT energy (no corrections): -8.03 eV per atom
MP2020-corrected energy: -8.64 eV/atom
Energy relative to the elements: -3.09 eV per atom

a = 5.4245 Å, b = 9.4491 Å, c = 9.4294 Å
α = 70.32°, β = 89.78°, γ = 90.31°
Element x y z (fractional)
1 O 0.7119 0.3512 0.6321
2 O 0.7120 0.8512 0.1321
3 O 0.4502 0.8770 0.8759
4 O 0.7159 0.6139 0.9023
5 O 0.7159 0.1139 0.4023
6 O 0.2847 0.6559 0.3762
7 O 0.0533 0.1302 0.6169
8 O 0.5574 0.1208 0.1246
9 O 0.9416 0.3724 0.8822
10 O 0.0533 0.6302 0.1169
11 O 0.5574 0.6208 0.6246
12 O 0.2282 0.6139 0.8454
13 O 0.2757 0.8758 0.5914
14 O 0.2846 0.1559 0.8762
15 O 0.2333 0.4061 0.6330
16 O 0.7683 0.1029 0.8724
17 O 0.7704 0.3783 0.1459
18 O 0.2282 0.1139 0.3454
19 O 0.7683 0.6029 0.3724
20 O 0.4502 0.3770 0.3759
21 O 0.2333 0.9061 0.1330
22 O 0.2757 0.3758 0.0914
23 O 0.9416 0.8724 0.3822
24 O 0.7704 0.8783 0.6459
25 Ti 0.5046 0.2566 0.2583
26 Ti 0.0003 0.7479 0.2391
27 Ti 0.0003 0.2479 0.7391
28 Ti 0.5046 0.7566 0.7583
29 Ca 0.4988 0.3899 0.8607
30 Ca 0.4987 0.8899 0.3607
31 Mn 0.5020 0.0014 0.9992
32 Mn 0.5020 0.5014 0.4992
33 Mn 0.0012 0.0011 0.4976
34 Mn 0.0012 0.5011 0.9976
35 La 0.5065 0.6153 0.1352
36 La 0.0058 0.6378 0.6119
37 La 0.0058 0.1378 0.1120
38 La 0.5065 0.1153 0.6352

Material: Ca9LaTi8Mn2O30
Method: DFT, GGA+U
State: optimized geometry

## Properties
Total DFT energy (no corrections): -7.97 eV per atom
MP2020-corrected energy: -8.45 eV/atom
Energy relative to the elements: -3.39 eV per atom
SG: P1 (1)
Crystal system: triclinic

a = 5.4318 Å, b = 5.5064 Å, c = 38.5785 Å
α = 89.95°, β = 89.99°, γ = 89.92°
Element x y z (fractional)
1 Ti 0.5011 0.9998 0.1999
2 Ti 0.5078 0.0000 0.9993
3 Ti 0.9987 0.4986 0.9018
4 Ti 0.4968 0.9997 0.0995
5 Ti 0.0073 0.4988 0.0008
6 Ti 0.9975 0.5003 0.1003
7 Ti 0.0014 0.4987 0.7000
8 Ti 0.9993 0.4989 0.3986
9 Ti 0.0080 0.4993 0.2999
10 Ti 0.5058 0.0010 0.3001
11 Ti 0.0003 0.4995 0.2000
12 Ti 0.9992 0.4989 0.7987
13 Ti 0.5045 0.0000 0.7006
14 Ti 0.4983 0.9989 0.4982
15 Ti 0.0002 0.4995 0.4981
16 Ti 0.9978 0.5010 0.6018
17 O 0.2845 0.7151 0.1914
18 O 0.4182 0.9803 0.2503
19 O 0.2855 0.7146 0.9081
20 O 0.2114 0.2152 0.7087
21 O 0.2121 0.2147 0.3088
22 O 0.7187 0.2838 0.4085
23 O 0.2169 0.2175 0.5087
24 O 0.2808 0.7198 0.5077
25 O 0.7814 0.7830 0.8086
26 O 0.0650 0.4846 0.8499
27 O 0.7813 0.7820 0.8913
28 O 0.0795 0.4798 0.4503
29 O 0.2145 0.2152 0.1087
30 O 0.2103 0.2156 0.9913
31 O 0.7120 0.2868 0.0087
32 O 0.7864 0.7837 0.6910
33 O 0.4208 0.9905 0.8509
34 O 0.7147 0.2888 0.6083
35 O 0.0815 0.4787 0.6502
36 O 0.2775 0.7177 0.5922
37 O 0.7144 0.2853 0.2088
38 O 0.7155 0.2852 0.0913
39 O 0.7144 0.2881 0.6913
40 O 0.7127 0.2837 0.2917
41 O 0.7851 0.7816 0.4087
42 O 0.2138 0.2155 0.1914
43 O 0.5837 0.0191 0.9514
44 O 0.7818 0.7795 0.6086
45 O 0.0811 0.4807 0.2501
46 O 0.7198 0.2812 0.8925
47 O 0.7852 0.7849 0.2088
48 O 0.7840 0.7849 0.0090
49 O 0.9178 0.5194 0.1500
50 O 0.5791 0.0107 0.5504
51 O 0.5813 0.0186 0.3505
52 O 0.4176 0.9805 0.0504
53 O 0.2864 0.7150 0.7920
54 O 0.9190 0.5193 0.3499
55 O 0.2838 0.7133 0.3088
56 O 0.2831 0.7142 0.9914
57 O 0.9187 0.5217 0.9501
58 O 0.5812 0.0195 0.1502
59 O 0.5861 0.0197 0.7478
60 O 0.7189 0.2814 0.8074
61 O 0.2158 0.2195 0.5912
62 O 0.2837 0.7133 0.3917
63 O 0.2148 0.2164 0.3915
64 O 0.9321 0.5167 0.5498
65 O 0.2854 0.7145 0.1087
66 O 0.9192 0.5217 0.7500
67 O 0.2201 0.2195 0.7915
68 O 0.2847 0.7137 0.7083
69 O 0.7109 0.2875 0.4919
70 O 0.7863 0.7845 0.0913
71 O 0.2196 0.2203 0.9086
72 O 0.4198 0.9830 0.4496
73 O 0.7837 0.7847 0.2915
74 O 0.0822 0.4804 0.0500
75 O 0.7808 0.7834 0.4915
76 O 0.4182 0.9819 0.6494
77 Ca 0.0124 0.9621 0.9498
78 Ca 0.9868 0.0361 0.8501
79 Ca 0.5126 0.5414 0.0500
80 Ca 0.9889 0.0371 0.6500
81 Ca 0.0121 0.9624 0.7503
82 Ca 0.5104 0.5436 0.6507
83 Ca 0.9878 0.0374 0.4479
84 Ca 0.4903 0.4581 0.3505
85 Ca 0.5099 0.5403 0.4472
86 Ca 0.4906 0.4580 0.9506
87 Ca 0.4897 0.4574 0.7496
88 Ca 0.5130 0.5410 0.2502
89 Ca 0.0105 0.9626 0.5508
90 Ca 0.0135 0.9603 0.3506
91 Ca 0.9896 0.0397 0.2502
92 Ca 0.4878 0.4587 0.1500
93 Ca 0.0108 0.9598 0.1500
94 Ca 0.9893 0.0399 0.0500
95 Mn 0.5014 0.9997 0.3994
96 Mn 0.4989 0.9997 0.7994
97 Mn 0.4984 0.9997 0.9005
98 Mn 0.4977 0.9998 0.6011
99 La 0.5045 0.5334 0.8501
100 La 0.4945 0.4679 0.5509

Material: CaLa2MoO6
Method: DFT, GGA+U
State: optimized geometry

## Properties
Total DFT energy (no corrections): -7.68 eV per atom
MP2020-corrected energy: -8.41 eV/atom
Energy relative to the elements: -3.17 eV per atom
SG: R-3 (148)
Crystal system: trigonal

a = 5.8417 Å, b = 5.8417 Å, c = 5.8417 Å
α = 61.76°, β = 61.76°, γ = 61.76°
Element x y z (fractional)
1 O 0.7848 0.3440 0.1276
2 O 0.2152 0.6560 0.8724
3 O 0.1276 0.7848 0.3440
4 O 0.3440 0.1276 0.7848
5 O 0.8724 0.2152 0.6560
6 O 0.6560 0.8724 0.2152
7 La 0.7657 0.7657 0.7657
8 La 0.2343 0.2343 0.2343
9 Ca 0.5000 0.5000 0.5000
10 Mo 0.0000 0.0000 0.0000

Material: NaCaLaWO6
Method: DFT, GGA+U
State: optimized geometry

## Properties
Total DFT energy (no corrections): -7.01 eV per atom
MP2020-corrected energy: -7.86 eV/atom
Energy relative to the elements: -2.77 eV per atom
SG: F-43m (216)
Crystal system: cubic

a = 5.8648 Å, b = 5.8648 Å, c = 5.8648 Å
α = 60.00°, β = 60.00°, γ = 60.00°
Element x y z (fractional)
1 O 0.7334 0.2666 0.7334
2 O 0.2666 0.7334 0.7334
3 O 0.2666 0.7334 0.2666
4 O 0.7334 0.2666 0.2666
5 O 0.2666 0.2666 0.7334
6 O 0.7334 0.7334 0.2666
7 Na 0.2500 0.2500 0.2500
8 La 0.7500 0.7500 0.7500
9 Ca 0.0000 0.0000 0.0000
10 W 0.5000 0.5000 0.5000

Material: CaLa4Ni3WO12
Method: DFT, GGA+U
State: optimized geometry

## Properties
Total DFT energy (no corrections): -6.74 eV per atom
MP2020-corrected energy: -7.71 eV/atom
Energy relative to the elements: -2.41 eV per atom
SG: P2/m (10)
Crystal system: monoclinic

a = 5.5570 Å, b = 9.1448 Å, c = 5.7613 Å
α = 90.00°, β = 89.77°, γ = 90.00°
Element x y z (fractional)
1 O 0.0000 0.2534 0.0000
2 O 0.5000 0.2311 0.5000
3 O 0.7202 0.0000 0.7889
4 O 0.2300 0.5000 0.7238
5 O 0.5000 0.7689 0.5000
6 O 0.2647 0.0000 0.7652
7 O 0.2798 0.0000 0.2111
8 O 0.0000 0.7466 0.0000
9 O 0.7714 0.5000 0.7227
10 O 0.7700 0.5000 0.2762
11 O 0.7353 0.0000 0.2348
12 O 0.2286 0.5000 0.2773
13 La 0.0000 0.6900 0.5000
14 La 0.0000 0.3100 0.5000
15 La 0.5000 0.8228 0.0000
16 La 0.5000 0.1772 0.0000
17 Ni 0.5000 0.5000 0.5000
18 Ni 0.0000 0.0000 0.0000
19 Ni 0.0000 0.5000 0.0000
20 W 0.5000 0.0000 0.5000
21 Ca 0.5000 0.5000 0.0000

Material: CaLa4Ni3WO12
Method: DFT, GGA+U
State: optimized geometry

## Properties
Total DFT energy (no corrections): -6.70 eV per atom
MP2020-corrected energy: -7.67 eV/atom
Energy relative to the elements: -2.36 eV per atom
SG: Pmmm (47)
Crystal system: orthorhombic

a = 5.6529 Å, b = 8.8617 Å, c = 5.6851 Å
α = 90.00°, β = 90.03°, γ = 90.00°
Element x y z (fractional)
1 O 0.2328 0.5000 0.2713
2 O 0.7672 0.5000 0.7287
3 O 0.2335 0.5000 0.7294
4 O 0.2739 0.0000 0.2232
5 O 0.5000 0.7646 0.5000
6 O 0.7258 0.0000 0.2230
7 O 0.5000 0.2354 0.5000
8 O 0.7261 0.0000 0.7768
9 O 0.7665 0.5000 0.2706
10 O 0.0000 0.7543 0.0000
11 O 0.2742 0.0000 0.7770
12 O 0.0000 0.2457 0.0000
13 La 0.5000 0.7762 0.0000
14 La 0.0000 0.3284 0.5000
15 La 0.0000 0.6716 0.5000
16 La 0.5000 0.2238 0.0000
17 Ni 0.0000 0.5000 0.0000
18 Ni 0.5000 0.5000 0.5000
19 Ni 0.0000 0.0000 0.0000
20 W 0.5000 0.0000 0.5000
21 Ca 0.0000 0.0000 0.5000

Material: CaLa2VO6
Method: DFT, GGA+U
State: optimized geometry

## Properties
Total DFT energy (no corrections): -7.86 eV per atom
MP2020-corrected energy: -8.44 eV/atom
Energy relative to the elements: -3.38 eV per atom
SG: R-3 (148)
Crystal system: trigonal

a = 5.6918 Å, b = 5.6918 Å, c = 5.6918 Å
α = 62.37°, β = 62.37°, γ = 62.37°
Element x y z (fractional)
1 Ca 0.5000 0.5000 0.5000
2 O 0.2142 0.6706 0.8689
3 O 0.7858 0.3294 0.1311
4 O 0.3294 0.1311 0.7858
5 O 0.8689 0.2142 0.6706
6 O 0.1311 0.7858 0.3294
7 O 0.6706 0.8689 0.2142
8 La 0.7614 0.7614 0.7614
9 La 0.2386 0.2386 0.2386
10 V 0.0000 0.0000 0.0000

Material: LiCa9MnP7O28
Method: DFT, GGA+U
State: optimized geometry

## Properties
Total DFT energy (no corrections): -7.23 eV per atom
MP2020-corrected energy: -7.69 eV/atom
Energy relative to the elements: -3.22 eV per atom
SG: R3c (161)
Crystal system: trigonal

a = 13.9066 Å, b = 13.9066 Å, c = 13.9066 Å
α = 44.09°, β = 44.09°, γ = 44.09°
Element x y z (fractional)
1 O 0.6152 0.1892 0.1726
2 O 0.3453 0.8815 0.1326
3 O 0.6381 0.3631 0.6220
4 O 0.1381 0.1220 0.8631
5 O 0.7549 0.8944 0.6117
6 O 0.1250 0.8571 0.6720
7 O 0.1892 0.1726 0.6152
8 O 0.6557 0.3758 0.3691
9 O 0.3571 0.6250 0.1720
10 O 0.6250 0.1720 0.3571
11 O 0.2549 0.1117 0.3944
12 O 0.6462 0.3985 0.0896
13 O 0.8815 0.1326 0.3453
14 O 0.6726 0.6892 0.1152
15 O 0.3082 0.3082 0.3082
16 O 0.6892 0.1152 0.6726
17 O 0.8691 0.8758 0.1557
18 O 0.3758 0.3691 0.6557
19 O 0.3815 0.8453 0.6326
20 O 0.1220 0.8631 0.1381
21 O 0.8082 0.8082 0.8082
22 O 0.2487 0.9328 0.3372
23 O 0.1326 0.3453 0.8815
24 O 0.3944 0.2549 0.1117
25 O 0.8985 0.1462 0.5896
26 O 0.7487 0.8372 0.4328
27 O 0.1720 0.3571 0.6250
28 O 0.3382 0.6077 0.8928
29 O 0.1462 0.5896 0.8985
30 O 0.8631 0.1381 0.1220
31 O 0.9328 0.3372 0.2487
32 O 0.8758 0.1557 0.8691
33 O 0.1726 0.6152 0.1892
34 O 0.3372 0.2487 0.9328
35 O 0.8571 0.6720 0.1250
36 O 0.4328 0.7487 0.8372
37 O 0.5896 0.8985 0.1462
38 O 0.1077 0.8382 0.3928
39 O 0.8944 0.6117 0.7549
40 O 0.6326 0.3815 0.8453
41 O 0.6220 0.6381 0.3631
42 O 0.0896 0.6462 0.3985
43 O 0.8453 0.6326 0.3815
44 O 0.1557 0.8691 0.8758
45 O 0.6117 0.7549 0.8944
46 O 0.8928 0.3382 0.6077
47 O 0.3985 0.0896 0.6462
48 O 0.6720 0.1250 0.8571
49 O 0.1152 0.6726 0.6892
50 O 0.3631 0.6220 0.6381
51 O 0.3928 0.1077 0.8382
52 O 0.1117 0.3944 0.2549
53 O 0.8372 0.4328 0.7487
54 O 0.6077 0.8928 0.3382
55 O 0.8382 0.3928 0.1077
56 O 0.3691 0.6557 0.3758
57 Mn 0.5020 0.5020 0.5020
58 Mn 0.0020 0.0020 0.0020
59 P 0.1863 0.6862 0.2256
60 P 0.3055 0.2687 0.8307
61 P 0.8055 0.3307 0.7687
62 P 0.2687 0.8307 0.3055
63 P 0.6863 0.7256 0.1862
64 P 0.7669 0.7669 0.7669
65 P 0.2669 0.2669 0.2669
66 P 0.8307 0.3055 0.2687
67 P 0.6862 0.2256 0.1863
68 P 0.2256 0.1863 0.6862
69 P 0.7256 0.1862 0.6863
70 P 0.7687 0.8055 0.3307
71 P 0.3307 0.7687 0.8055
72 P 0.1862 0.6863 0.7256
73 Ca 0.4344 0.4068 0.8533
74 Ca 0.8533 0.4344 0.4068
75 Ca 0.4696 0.0587 0.4499
76 Ca 0.0650 0.6601 0.0767
77 Ca 0.6601 0.0767 0.0650
78 Ca 0.0587 0.4499 0.4696
79 Ca 0.4499 0.4696 0.0587
80 Ca 0.1601 0.5650 0.5767
81 Ca 0.4068 0.8533 0.4344
82 Ca 0.3533 0.9068 0.9344
83 Ca 0.5650 0.5767 0.1601
84 Ca 0.9696 0.9499 0.5587
85 Ca 0.9344 0.3533 0.9068
86 Ca 0.9068 0.9344 0.3533
87 Ca 0.9499 0.5587 0.9696
88 Ca 0.5587 0.9696 0.9499
89 Ca 0.5767 0.1601 0.5650
90 Ca 0.0767 0.0650 0.6601
91 Li 0.6780 0.6780 0.6780
92 Li 0.1780 0.1780 0.1780

Material: Na2LiCaVP2O9
Method: DFT, GGA+U
State: optimized geometry

## Properties
Total DFT energy (no corrections): -6.67 eV per atom
MP2020-corrected energy: -7.17 eV/atom
Energy relative to the elements: -2.73 eV per atom
SG: Pna2_1 (33)
Crystal system: orthorhombic

a = 6.9074 Å, b = 10.5868 Å, c = 10.6461 Å
α = 90.00°, β = 90.00°, γ = 90.00°
Element x y z (fractional)
1 Ca 0.2512 0.4392 0.5690
2 Ca 0.2512 0.0608 0.0690
3 Ca 0.7512 0.9392 0.9310
4 Ca 0.7512 0.5608 0.4310
5 O 0.2623 0.5703 0.1693
6 O 0.2526 0.3005 0.7735
7 O 0.4299 0.5159 0.3733
8 O 0.2623 0.9297 0.6693
9 O 0.0648 0.1870 0.4834
10 O 0.7497 0.2743 0.6472
11 O 0.0648 0.3130 0.9834
12 O 0.9299 0.4841 0.6267
13 O 0.4297 0.1834 0.4871
14 O 0.9299 0.0159 0.1267
15 O 0.7514 0.1476 0.8833
16 O 0.5716 0.4833 0.6325
17 O 0.2497 0.7257 0.3528
18 O 0.7526 0.6995 0.2265
19 O 0.7497 0.2257 0.1472
20 O 0.4297 0.3166 0.9871
21 O 0.7514 0.3524 0.3833
22 O 0.9297 0.8166 0.5129
23 O 0.2526 0.1995 0.2735
24 O 0.4299 0.9841 0.8733
25 O 0.2434 0.5052 0.9048
26 O 0.2514 0.6476 0.6167
27 O 0.2514 0.8524 0.1167
28 O 0.7434 0.4948 0.0952
29 O 0.5648 0.6870 0.0166
30 O 0.2497 0.7743 0.8528
31 O 0.7623 0.4297 0.8307
32 O 0.7623 0.0703 0.3307
33 O 0.5716 0.0167 0.1325
34 O 0.7526 0.8005 0.7265
35 O 0.0716 0.9833 0.8675
36 O 0.7434 0.0052 0.5952
37 O 0.0716 0.5167 0.3675
38 O 0.2434 0.9948 0.4048
39 O 0.9297 0.6834 0.0129
40 O 0.5648 0.8130 0.5166
41 Na 0.0077 0.8460 0.2590
42 Na 0.9916 0.1450 0.7292
43 Na 0.9916 0.3550 0.2292
44 Na 0.4916 0.6450 0.7708
45 Na 0.0077 0.6540 0.7590
46 Na 0.4916 0.8550 0.2708
47 Na 0.5077 0.1540 0.7410
48 Na 0.5077 0.3460 0.2410
49 Li 0.4672 0.9976 0.5316
50 Li 0.9672 0.4976 0.9684
51 Li 0.9672 0.0024 0.4684
52 Li 0.4672 0.5024 0.0316
53 P 0.7532 0.0837 0.1836
54 P 0.2532 0.9163 0.8164
55 P 0.7532 0.4163 0.6836
56 P 0.2474 0.3558 0.9070
57 P 0.7474 0.8558 0.5930
58 P 0.7474 0.6442 0.0930
59 P 0.2532 0.5837 0.3164
60 P 0.2474 0.1442 0.4070
61 V 0.7438 0.2077 0.4681
62 V 0.2438 0.7077 0.0319
63 V 0.7438 0.2923 0.9681
64 V 0.2438 0.7923 0.5319

Which value of total DFT energy (no corrections) does entry 3 give? -7.68 eV per atom